Tb2Pt2O7 | PBE | relaxed

Geometry as POSCAR:
```
Tb2Pt2O7
1.0
0.0000 5.1577 5.1577
5.1577 0.0000 5.1577
5.1577 5.1577 0.0000
Tb Pt O
4 4 14
Cartesian
0.0000 0.0000 0.0000
2.5788 2.5788 0.0000
2.5788 0.0000 2.5788
0.0000 2.5788 2.5788
5.1577 2.5788 2.5788
2.5788 5.1577 2.5788
2.5788 2.5788 5.1577
5.1577 5.1577 5.1577
1.2894 1.2894 1.2894
3.8683 3.8683 1.6462
3.8683 1.6462 3.8683
6.0903 3.8683 3.8683
6.4471 6.4471 4.2251
6.4471 4.2251 6.4471
8.6691 6.4471 6.4471
1.6462 3.8683 3.8683
3.8683 6.0903 3.8683
3.8683 3.8683 6.0903
4.2251 6.4471 6.4471
6.4471 8.6691 6.4471
6.4471 6.4471 8.6691
9.0259 9.0259 9.0259
```

Calculated values
Energy relative to the elements   -2.450 eV/atom
Symmetry   Fd-3m, No. 227